# 1
VASP calculation (PBE-GGA) on a geometry-optimized MgSi2 structure.

```
MgSi2
1.0
-5.894 0.000 0.000
0.984 7.429 0.000
-0.120 -3.625 -9.566
Si Mg
16 8
direct
0.648 0.403 0.398 Si
0.276 0.103 0.130 Si
0.663 0.789 0.759 Si
0.498 0.359 0.882 Si
0.949 0.043 0.959 Si
0.925 0.408 0.872 Si
0.984 0.770 0.254 Si
0.049 0.095 0.453 Si
0.178 0.425 0.060 Si
0.450 0.082 0.402 Si
0.300 0.729 0.600 Si
0.918 0.766 0.488 Si
0.542 0.077 0.940 Si
0.739 0.717 0.986 Si
0.374 0.776 0.175 Si
0.526 0.729 0.391 Si
0.405 0.406 0.634 Mg
0.145 0.070 0.724 Mg
0.668 0.445 0.148 Mg
0.787 0.070 0.214 Mg
0.923 0.470 0.625 Mg
0.659 0.067 0.637 Mg
0.151 0.432 0.342 Mg
0.225 0.736 0.896 Mg
```

The value obtained for the uncorrected energy is -94.9 eV/cell. For the magnetic moment, the calculation gives 0.000 μB per atom. For the calculated volume, the calculation gives 17.5 Å³/atom.

# 2
VASP calculation (PBE-GGA) on a geometry-optimized K4PH5Se3O16 structure.

```
K4PH5Se3O16
1.0
7.785 0.000 0.000
2.546 7.423 0.000
1.056 0.204 15.144
Se O K H P
6 32 8 10 2
direct
0.781 0.725 0.935 Se
0.276 0.801 0.734 Se
0.724 0.199 0.266 Se
0.219 0.275 0.065 Se
0.218 0.277 0.564 Se
0.782 0.723 0.436 Se
0.429 0.845 0.175 O
0.435 0.138 0.097 O
0.729 0.566 0.497 O
0.446 0.835 0.670 O
0.908 0.653 0.344 O
0.801 0.056 0.690 O
0.728 0.568 0.996 O
0.135 0.151 0.005 O
0.437 0.143 0.596 O
0.800 0.044 0.187 O
0.136 0.152 0.505 O
0.113 0.811 0.174 O
0.092 0.347 0.656 O
0.272 0.432 0.004 O
0.352 0.597 0.783 O
0.106 0.813 0.669 O
0.648 0.403 0.217 O
0.271 0.434 0.503 O
0.200 0.956 0.813 O
0.571 0.155 0.825 O
0.554 0.165 0.330 O
0.887 0.189 0.826 O
0.864 0.848 0.495 O
0.909 0.653 0.844 O
0.565 0.862 0.903 O
0.865 0.849 0.995 O
0.894 0.187 0.331 O
0.199 0.944 0.310 O
0.563 0.857 0.404 O
0.344 0.617 0.276 O
0.656 0.383 0.724 O
0.091 0.347 0.156 O
0.740 0.221 0.014 K
0.811 0.663 0.670 K
0.806 0.669 0.168 K
0.260 0.779 0.986 K
0.741 0.220 0.518 K
0.189 0.337 0.330 K
0.259 0.780 0.482 K
0.194 0.331 0.832 K
0.470 0.531 0.252 H
0.066 0.035 0.313 H
0.571 0.972 0.372 H
0.992 0.918 0.183 H
0.574 0.977 0.870 H
0.008 0.082 0.817 H
0.934 0.965 0.687 H
0.426 0.023 0.130 H
0.429 0.028 0.628 H
0.530 0.469 0.748 H
0.276 0.809 0.231 P
0.724 0.191 0.769 P
```

The value obtained for the uncorrected energy is -309.5 eV/cell. For the magnetic moment, the calculation gives 0.000 μB per atom. For the calculated volume, the calculation gives 15.1 Å³/atom.

# 3
VASP calculation (PBE-GGA) on a geometry-optimized Zn3Si3Sb2O12 structure.

```
Zn3Si3Sb2O12
1.0
-6.194 6.194 6.194
6.194 -6.194 6.194
6.194 6.194 -6.194
O Sb Si Zn
48 8 12 12
direct
0.795 0.523 0.392 O
0.403 0.795 0.772 O
0.728 0.523 0.631 O
0.892 0.023 0.295 O
0.903 0.131 0.608 O
0.477 0.608 0.205 O
0.597 0.205 0.228 O
0.728 0.705 0.097 O
0.108 0.631 0.403 O
0.023 0.228 0.131 O
0.228 0.131 0.023 O
0.869 0.977 0.772 O
0.523 0.392 0.795 O
0.097 0.869 0.392 O
0.369 0.272 0.477 O
0.295 0.892 0.023 O
0.131 0.608 0.903 O
0.392 0.795 0.523 O
0.869 0.392 0.097 O
0.097 0.728 0.705 O
0.295 0.903 0.272 O
0.023 0.295 0.892 O
0.205 0.228 0.597 O
0.977 0.705 0.108 O
0.597 0.892 0.369 O
0.131 0.023 0.228 O
0.795 0.772 0.403 O
0.631 0.728 0.523 O
0.608 0.205 0.477 O
0.977 0.772 0.869 O
0.892 0.369 0.597 O
0.631 0.403 0.108 O
0.369 0.597 0.892 O
0.477 0.369 0.272 O
0.705 0.097 0.728 O
0.903 0.272 0.295 O
0.392 0.097 0.869 O
0.272 0.295 0.903 O
0.772 0.403 0.795 O
0.608 0.903 0.131 O
0.228 0.597 0.205 O
0.523 0.631 0.728 O
0.705 0.108 0.977 O
0.205 0.477 0.608 O
0.403 0.108 0.631 O
0.108 0.977 0.705 O
0.772 0.869 0.977 O
0.272 0.477 0.369 O
0.500 0.000 0.500 Sb
0.000 0.000 0.000 Sb
0.500 0.000 0.000 Sb
0.000 0.500 0.500 Sb
0.500 0.500 0.500 Sb
0.000 0.000 0.500 Sb
0.000 0.500 0.000 Sb
0.500 0.500 0.000 Sb
0.875 0.250 0.125 Si
0.125 0.750 0.875 Si
0.375 0.625 0.750 Si
0.125 0.875 0.250 Si
0.250 0.125 0.875 Si
0.250 0.625 0.375 Si
0.625 0.750 0.375 Si
0.875 0.125 0.750 Si
0.375 0.250 0.625 Si
0.625 0.375 0.250 Si
0.750 0.875 0.125 Si
0.750 0.375 0.625 Si
0.250 0.875 0.625 Zn
0.625 0.875 0.750 Zn
0.750 0.625 0.875 Zn
0.750 0.125 0.375 Zn
0.375 0.125 0.250 Zn
0.875 0.625 0.250 Zn
0.250 0.375 0.125 Zn
0.875 0.750 0.625 Zn
0.125 0.250 0.375 Zn
0.625 0.250 0.875 Zn
0.125 0.375 0.750 Zn
0.375 0.750 0.125 Zn
```

The value obtained for the uncorrected energy is -489.6 eV/cell. For the magnetic moment, the calculation gives 0.000 μB per atom. For the calculated volume, the calculation gives 11.9 Å³/atom.